YMg after structural relaxation, computed with PBE.

Values from the calculation:
Crystal system: orthorhombic
Space group: No. 38
Uncorrected energy (eV/atom): -4.0390

a = 8.796 Å, b = 8.796 Å, c = 5.453 Å
α = 90.00°, β = 90.00°, γ = 156.30°
Positions (direct):
Y 0.991 0.009 0.000
Y 0.671 0.329 0.000
Y 0.112 0.888 0.500
Mg 0.333 0.667 0.000
Mg 0.443 0.557 0.500
Mg 0.783 0.217 0.500